No. 1
This record from the Materials Project database describes a relaxed structure of LiSn2P5O15. The functional is GGA-PBE.

Results
* theoretical density: 3.1 g/cm³

```
LiSn2P5O15
1.0
9.854 0.000 0.000
0.000 5.548 0.000
0.000 5.271 12.419
Li Sn P O
2 4 10 30
Direct
0.983 0.080 0.476
0.017 0.080 0.976
0.311 0.028 0.087
0.306 0.965 0.419
0.689 0.028 0.587
0.694 0.965 0.919
0.805 0.333 0.082
0.539 0.457 0.147
0.998 0.012 0.251
0.540 0.536 0.353
0.810 0.664 0.416
0.195 0.333 0.582
0.461 0.457 0.647
0.002 0.012 0.751
0.460 0.536 0.853
0.190 0.664 0.916
0.835 0.156 0.024
0.823 0.624 0.021
0.539 0.723 0.055
0.652 0.270 0.128
0.081 0.956 0.169
0.407 0.309 0.173
0.892 0.249 0.191
0.602 0.488 0.251
0.899 0.760 0.307
0.411 0.690 0.324
0.066 0.078 0.336
0.657 0.722 0.369
0.539 0.275 0.448
0.832 0.371 0.472
0.833 0.836 0.477
0.165 0.156 0.524
0.177 0.624 0.521
0.461 0.723 0.555
0.348 0.270 0.628
0.919 0.956 0.669
0.593 0.309 0.673
0.108 0.249 0.691
0.398 0.488 0.751
0.101 0.760 0.807
0.589 0.690 0.824
0.934 0.078 0.836
0.343 0.722 0.869
0.461 0.275 0.948
0.168 0.371 0.972
0.167 0.836 0.977
```


No. 2
This record from the Materials Project database describes a relaxed structure of Ca12Al14O33. The functional is GGA-PBE.

Results
* theoretical density: 2.6 g/cm³

```
Ca12Al14O33
1.0
-6.060 6.060 6.008
6.060 -6.060 6.008
6.060 6.060 -6.008
Ca Al O
12 14 33
Direct
0.323 0.323 0.000
0.989 0.125 0.359
0.875 0.234 0.865
0.513 0.132 0.889
0.369 0.011 0.135
0.677 0.677 0.000
0.766 0.631 0.641
0.868 0.757 0.381
0.487 0.987 0.500
0.376 0.487 0.619
0.013 0.513 0.500
0.243 0.624 0.111
0.750 0.250 0.500
0.000 0.000 0.000
0.249 0.125 0.624
0.626 0.339 0.748
0.089 0.875 0.247
0.628 0.842 0.753
0.374 0.751 0.876
0.158 0.911 0.786
0.591 0.878 0.252
0.501 0.626 0.376
0.122 0.374 0.713
0.125 0.372 0.214
0.875 0.499 0.124
0.661 0.409 0.287
0.208 0.275 0.626
0.940 0.285 0.540
0.020 0.187 0.046
0.026 0.980 0.167
0.242 0.085 0.772
0.140 0.974 0.954
0.600 0.060 0.345
0.725 0.351 0.933
0.503 0.239 0.124
0.715 0.255 0.655
0.813 0.860 0.833
0.106 0.965 0.436
0.620 0.005 0.749
0.439 0.168 0.655
0.418 0.792 0.067
0.531 0.758 0.844
0.330 0.894 0.859
0.761 0.886 0.264
0.622 0.497 0.736
0.529 0.670 0.564
0.915 0.687 0.156
0.512 0.783 0.345
0.649 0.582 0.374
0.217 0.561 0.729
0.256 0.871 0.251
0.995 0.744 0.615
0.313 0.469 0.228
0.500 0.500 0.000
0.129 0.380 0.385
0.035 0.471 0.141
0.832 0.488 0.271
0.745 0.400 0.460
0.114 0.378 0.876
```


No. 3
This record from the Materials Project database describes a relaxed structure of MgHg2Bi2O6. The functional is GGA-PBE.

Results
* ΔE to the lowest computed polymorph: 0 meV per atom
* theoretical density: 9.0 g/cm³

```
MgHg2Bi2O6
1.0
5.825 0.000 0.000
-2.913 1.682 5.887
2.913 -5.045 0.000
Mg Hg Bi O
1 2 2 6
Direct
0.350 0.050 0.350
0.178 0.534 0.178
0.743 0.230 0.743
0.996 0.989 0.996
0.543 0.629 0.543
0.131 0.242 0.359
0.324 0.823 0.954
0.545 0.823 0.324
0.359 0.242 0.752
0.752 0.242 0.131
0.954 0.823 0.545
```


Number 1: E_form -57.53 eV/f.u.. Number 2: E_form -202.71 eV/f.u.. Number 3: E_form -15.82 eV/f.u..